Here is an optimized crystal structure of Co2O3F from the Materials Project database. Energies are from GGA+U.

Its total magnetization is 18.651 μB/cell. The value obtained for the formation energy is -7.8 eV per formula unit. The value obtained for the relative energy among the computed polymorphs is 20 meV per atom. The value obtained for the volume is 10.02 A^3/atom.

It has space group Amm2 (No. 38), with a = 11.7946 Å, b = 6.1016 Å, c = 6.6830 Å, α = 90.00°, β = 90.00° and γ = 90.00°. Symmetry generates all atoms from Co at (0.0000, 0.0000, 0.0000), Co at (0.1243, 0.0000, 0.5395), Co at (0.2491, 0.0000, 0.9974), Co at (0.3721, 0.0000, 0.4579), Co at (0.5000, 0.0000, 0.9988), O at (0.0000, 0.1953, 0.5161), O at (0.1192, 0.0000, 0.8230), O at (0.2463, 0.1959, 0.4976), O at (0.3721, 0.0000, 0.1767), O at (0.5000, 0.1962, 0.4792), F at (0.1150, 0.0000, 0.2011) and F at (0.3758, 0.0000, 0.7859).